VASP calculation (GGA+U) on an optimized crystal structure of NaCa3Fe4Si8O24.

Magnetization (μB/f.u.): 17.00
Crystal system: monoclinic
Symmetry: C2 (5)
Distance to the lowest polymorph of the same formula (eV/atom): 0.000
DFT formation energy (eV/f.u.): -117.5

abc: 7.7003 7.7003 9.9851
angles: 62.79 62.79 72.04
With the nearest neighbours (Å) after each atom.
Atoms (fractional coordinates):
1 Na 0.6725 0.3275 0.5000  6 O 2.40-2.66
2 Ca 0.1728 0.8272 0.0000  4 O 2.34-2.36
3 Ca 0.3258 0.1802 0.2474  6 O 2.35-2.56
4 Ca 0.8198 0.6742 0.7526  6 O 2.35-2.56
5 Fe 0.7829 0.2171 0.0000  6 O 2.12-2.20
6 Fe 0.7207 0.7749 0.2544  6 O 2.03-2.25
7 Fe 0.2826 0.7174 0.5000  6 O 2.04-2.07
8 Fe 0.2251 0.2793 0.7456  6 O 2.03-2.25
9 Si 0.5239 0.9625 0.5448  4 O 1.59-1.69
10 Si 0.4598 0.5273 0.7910  4 O 1.61-1.70
11 Si 0.0277 0.4578 0.0425  4 O 1.60-1.70
12 Si 0.0375 0.4761 0.4552  4 O 1.59-1.69
13 Si 0.9598 0.0244 0.2966  4 O 1.62-1.69
14 Si 0.9756 0.0402 0.7034  4 O 1.62-1.69
15 Si 0.5422 0.9723 0.9575  4 O 1.60-1.70
16 Si 0.4727 0.5402 0.2090  4 O 1.61-1.70
17 O 0.9209 0.9846 0.1675  1 Si 1.62
18 O 0.4736 0.9115 0.4244  1 Si 1.64
19 O 0.4860 0.7680 0.7228  2 Si 1.69-1.70
20 O 0.6589 0.4130 0.8236  1 Si 1.61
21 O 0.4047 0.5013 0.6632  1 Si 1.62
22 O 0.5870 0.3411 0.1764  1 Si 1.61
23 O 0.2698 0.4838 0.9710  2 Si 1.68-1.70
24 O 0.2320 0.5140 0.2772  2 Si 1.69-1.70
25 O 0.9158 0.6574 0.0735  1 Si 1.60
26 O 0.9886 0.4158 0.9138  1 Si 1.63
27 O 0.8412 0.5927 0.4230  1 Si 1.59
28 O 0.9952 0.2629 0.2186  2 Si 1.68-1.69
29 O 0.0207 0.2339 0.5275  2 Si 1.67-1.69
30 O 0.1587 0.9106 0.3352  1 Si 1.63
31 O 0.0154 0.0791 0.8325  1 Si 1.62
32 O 0.0894 0.8413 0.6648  1 Si 1.63
33 O 0.7661 0.9793 0.4725  2 Si 1.67-1.69
34 O 0.7371 0.0048 0.7814  2 Si 1.68-1.69
35 O 0.4073 0.1588 0.5770  1 Si 1.59
36 O 0.5842 0.0114 0.0862  1 Si 1.63
37 O 0.3426 0.0842 0.9265  1 Si 1.60
38 O 0.5162 0.7302 0.0290  2 Si 1.68-1.70
39 O 0.4987 0.5953 0.3368  1 Si 1.62
40 O 0.0885 0.5264 0.5756  1 Si 1.64